[1]
LiLuPd2: relaxed, GGA-PBE.

Geometry as extended XYZ:
```
4
Lattice="0.6367 -4.3458 1.4709 -3.6539 -2.7244 0.8255 -0.9202 -3.5577 -2.8198" Properties=species:S:1:pos:R:3 pbc="T T T"
Pd -2.9531 -7.9709 -0.3926
Pd -0.9844 -2.6570 -0.1309
Lu 0.0000 0.0000 0.0000
Li -1.9687 -5.3139 -0.2617
```

Results
**SG**: Fm-3m (225)
**Uncorrected energy**: -4.956 eV/atom


[2]
SmGePd: relaxed, GGA-PBE.

Geometry as extended XYZ:
```
36
Lattice="4.4887 0.0000 0.0000 0.0000 7.6489 0.0000 0.0000 0.0000 21.5499" Properties=species:S:1:pos:R:3 pbc="T T T"
Ge 3.3665 4.4612 4.9651
Ge 3.3665 6.9796 20.0161
Ge 1.1222 3.1877 16.5849
Ge 3.3665 4.4937 9.2412
Ge 3.3665 7.0121 15.7400
Ge 1.1222 0.6368 5.8099
Ge 1.1222 0.6746 8.5752
Ge 3.3665 6.9743 12.9748
Ge 1.1222 0.6693 1.5338
Ge 1.1222 3.1551 12.3088
Ge 1.1222 3.1498 19.3501
Ge 3.3665 4.4990 2.1998
Sm 1.1222 6.0493 17.9548
Sm 3.3665 1.5996 3.5951
Sm 3.3665 2.2088 7.1971
Sm 3.3665 2.1766 21.5249
Sm 3.3665 2.2248 14.3701
Sm 1.1222 5.4401 14.3528
Sm 3.3665 1.6479 10.7499
Sm 1.1222 5.4240 7.1799
Sm 1.1222 6.0010 10.8000
Sm 3.3665 1.6156 17.9721
Sm 1.1222 6.0332 3.5778
Sm 1.1222 5.4723 0.0250
Pd 1.1222 3.2088 2.0153
Pd 3.3665 7.0153 1.4039
Pd 3.3665 7.0045 5.6590
Pd 1.1222 0.6157 12.7903
Pd 3.3665 4.4688 16.4340
Pd 1.1222 0.6443 15.8909
Pd 1.1222 0.6336 20.1460
Pd 3.3665 4.4580 12.1789
Pd 1.1222 3.1801 5.1159
Pd 3.3665 7.0332 8.7597
Pd 3.3665 4.4401 19.5346
Pd 1.1222 3.1909 9.3711
```

Results
**SG**: Pnma (62)
**Uncorrected energy**: -5.809 eV/atom


[3]
Sr6Mg7H26: relaxed, GGA-PBE.

Geometry as extended XYZ:
```
39
Lattice="2.8181 9.1299 0.0000 -2.8181 9.1299 0.0000 0.0000 7.1854 9.0666" Properties=species:S:1:pos:R:3 pbc="T T T"
H 0.0000 17.4433 8.3368
H 1.3234 9.1652 5.8648
H 1.4049 11.5903 3.7924
H 1.2555 10.2340 1.6005
H 0.0000 3.3606 1.5365
H -1.2555 15.2112 7.4661
H -1.3234 9.1652 5.8648
H 0.0000 18.6219 3.8328
H 1.4049 13.8548 5.2742
H -1.4049 13.8548 5.2742
H 1.3769 14.6523 1.0801
H 0.0000 11.5964 6.0919
H 1.3234 16.2799 3.2019
H 0.0000 8.1970 8.3198
H -1.3234 16.2799 3.2019
H -1.2555 10.2340 1.6005
H 0.0000 8.0019 0.7298
H -1.4049 11.5903 3.7924
H -1.3769 10.7929 7.9865
H 0.0000 13.8487 2.9747
H 1.2555 15.2112 7.4661
H 0.0000 22.0845 7.5301
H 1.3769 10.7929 7.9865
H 0.0000 6.8233 5.2338
H 0.0000 17.2482 0.7469
H -1.3769 14.6523 1.0801
Sr 0.0000 9.1361 3.6462
Sr 0.0000 20.2100 5.9220
Sr 0.0000 5.2351 3.1446
Sr 0.0000 12.4341 0.8408
Sr 0.0000 13.0110 8.2259
Sr 0.0000 16.3091 5.4205
Mg 0.0000 15.7184 1.8912
Mg 0.0000 12.7226 4.5333
Mg 1.3700 9.1299 0.0000
Mg 0.0000 20.0045 2.5039
Mg 0.0000 5.4406 6.5628
Mg 0.0000 9.7268 7.1754
Mg -1.3700 9.1299 0.0000
```

Results
**SG**: C2/m (12)
**Energy with MP2020 corrections**: -3.287 eV/atom
**Uncorrected energy**: -3.167 eV/atom


[4]
HoAlFe: relaxed, GGA-PBE.

Geometry as extended XYZ:
```
12
Lattice="-2.7150 -4.6778 0.0000 -5.4084 -0.0125 0.0000 0.0000 0.0000 -8.5688" Properties=species:S:1:pos:R:3 pbc="T T T"
Al -2.7096 -3.1554 -2.1422
Al -6.7930 -3.9221 -6.4266
Al -4.0874 -0.7689 -2.1422
Al -1.3314 -0.7686 -2.1422
Fe -0.0562 -0.0324 -8.4615
Fe -0.0562 -0.0324 -4.3918
Fe -5.3844 -1.5338 -6.4266
Fe -4.0202 -3.8964 -6.4266
Ho -5.3846 -3.1089 -3.8477
Ho -5.3846 -3.1089 -0.4367
Ho -2.7048 -1.5617 -8.0146
Ho -2.7048 -1.5617 -4.8387
```

Results
**SG**: Amm2 (38)
**Uncorrected energy**: -5.900 eV/atom


[5]
Rb3BN2: relaxed, GGA-PBE.

Geometry as extended XYZ:
```
24
Lattice="6.9022 0.0000 0.0157 0.0000 9.1873 0.0000 -3.5273 0.0000 8.8481" Properties=species:S:1:pos:R:3 pbc="T T T"
Rb 2.2599 2.7135 7.1841
Rb 5.1385 8.7558 0.0512
Rb 3.1267 8.8329 5.4429
Rb 1.1150 6.4738 1.6797
Rb -0.6486 7.3071 6.1037
Rb -1.7636 0.4314 8.8127
Rb 3.3748 5.0250 4.4752
Rb 4.8904 4.9479 1.0189
Rb 4.0236 1.8802 2.7601
Rb 0.0001 4.1622 4.3886
Rb 0.2482 0.3543 3.4209
Rb -1.5155 4.2393 7.8449
B -0.9706 1.6054 6.0308
B 2.5819 6.1991 7.2570
B 4.3456 7.5818 2.8330
B 0.7930 2.9882 1.6068
N 1.4906 5.5034 6.8296
N 1.8843 3.6838 2.0342
N -0.2973 2.2868 1.1865
N 3.6723 6.9005 7.6773
N 3.2543 8.2775 2.4055
N 0.1207 0.9098 6.4583
N -2.0610 2.3068 5.6105
N 5.4359 6.8804 3.2533
```

Results
**SG**: P2_1/c (14)
**Energy with MP2020 corrections**: -4.854 eV/atom
**Uncorrected energy**: -4.733 eV/atom


[6]
Y2SeO2: relaxed, GGA-PBE.

Geometry as extended XYZ:
```
5
Lattice="-1.9262 1.9262 6.0925 1.9262 -1.9262 6.0925 1.9262 1.9262 -6.0925" Properties=species:S:1:pos:R:3 pbc="T T T"
Se 0.0000 0.0000 0.0000
Y 0.0000 0.0000 4.1818
Y 0.0000 0.0000 8.0031
O 1.9262 0.0000 3.0462
O 0.0000 1.9262 3.0462
```

Results
**SG**: I4/mmm (139)
**Energy with MP2020 corrections**: -8.575 eV/atom
**Uncorrected energy**: -8.301 eV/atom


[7]
Cs2KPrCl6: relaxed, GGA-PBE.

Geometry as extended XYZ:
```
10
Lattice="7.9705 -1.0260 1.5603 2.9948 1.8473 7.3916 2.4498 -5.9732 5.0335" Properties=species:S:1:pos:R:3 pbc="T T T"
Cl 4.4757 -4.3567 5.9658
Cl 6.0455 -3.3884 9.8403
Cl 8.9394 -0.7952 8.0197
Cl 7.3696 -1.7635 4.1452
Cl 8.6537 -4.8945 6.7837
Cl 4.7614 -0.2574 7.2018
Cs 3.3538 -1.2880 3.4964
Cs 10.0613 -3.8639 10.4891
Pr 0.0000 0.0000 0.0000
K 6.7076 -2.5759 6.9927
```

Results
**SG**: Fm-3m (225)
**Energy with MP2020 corrections**: -4.368 eV/atom
**Uncorrected energy**: -4.000 eV/atom


[8]
Na3Y2Ti2P5SO24: relaxed, GGA-PBE.

Geometry as extended XYZ:
```
111
Lattice="8.9470 0.0382 -0.0031 -4.4405 7.7584 -0.0084 -0.0084 -0.0297 22.7395" Properties=species:S:1:pos:R:3 pbc="T T T"
O -1.7093 5.1136 17.2216
O 0.9635 6.6164 17.1761
O 5.1764 4.0250 9.7169
O 0.7150 1.6781 15.8078
O 0.7761 1.3733 9.2744
O -2.5615 7.7044 4.4595
O 3.6351 3.9633 12.0102
O 3.7198 4.0040 21.0224
O 2.6094 7.6530 15.6211
O -1.9503 4.8484 8.2551
O -2.9470 7.7238 20.5853
O 6.1146 2.6954 14.6230
O -0.8047 3.6096 5.8455
O 3.4772 6.2281 4.4038
O 7.9877 1.2705 6.7795
O 3.9376 4.0469 5.5951
O 1.9842 5.4061 22.0298
O 1.0783 3.8757 1.9126
O -0.8387 1.6830 4.2812
O 7.7727 1.3537 13.2329
O 7.3790 0.2317 18.1246
O 1.6610 4.9103 13.2854
O -1.0749 3.8654 13.3177
O 3.7403 1.2339 11.9858
O 2.9304 7.7633 9.1910
O 6.0220 2.5267 21.0625
O 3.6834 6.3981 20.6651
O 3.6267 3.9695 14.5492
O -0.8929 6.6987 5.8026
O 3.5724 1.2892 21.1013
O 0.7498 3.6320 17.2734
O -3.6965 6.4524 9.1772
O 3.7373 1.2178 14.5231
O 5.1101 6.1329 1.7878
O 2.8901 2.6830 3.2068
O -0.4806 6.8457 13.2660
O 5.1776 6.2516 18.2839
O -3.4086 6.1814 15.7847
O 5.3405 3.9752 3.1630
O 3.4471 1.3579 5.6736
O 1.2770 6.7714 10.8241
O 5.2455 1.1929 0.6487
O 5.2141 1.2038 3.1861
O -0.7232 3.2977 22.1076
O -0.6858 7.0645 19.6265
O 1.7445 0.3310 13.1610
O 2.9049 2.6378 0.6668
O 7.2196 0.3802 1.8590
O 1.0242 1.3199 18.2728
O 6.0547 2.6732 12.0634
O 3.7912 6.2221 6.8947
O 0.6146 6.7894 1.9332
O 0.7754 3.3304 10.6654
O 2.9147 2.3388 16.9378
O 2.0146 4.9427 19.6487
O 3.8284 6.1476 13.2063
O 1.7059 5.2168 5.8274
O 0.6885 6.9188 8.3643
O -1.2197 6.7031 22.0681
O 5.2985 1.2889 9.7063
O 2.8625 2.5441 9.6499
O -1.9572 5.4985 10.6984
O 1.1074 1.3828 1.8902
O -1.1866 3.5974 19.6206
O 1.7328 0.1692 6.8925
O -1.6652 4.7787 1.8843
O 5.4955 1.3929 16.9552
O 5.0203 4.0445 16.9988
O 1.1941 3.5638 8.2882
O 6.0081 2.3227 5.5671
O 8.1692 1.3245 20.5618
O 5.2955 3.9420 0.6250
Ti 4.4136 2.6311 15.6330
Ti 0.0458 0.0447 19.2562
Ti 4.3163 7.6874 7.9107
Ti 4.4836 2.4997 22.3247
Ti 4.5106 2.6707 4.2421
Ti 4.5484 2.6495 10.9542
P 3.2591 0.4622 13.2312
P 5.6827 0.4161 1.9331
P 5.7440 4.7547 1.8496
P 6.9821 2.6674 13.3248
P 1.3754 2.2566 17.0492
P 3.1882 4.7493 13.2561
P 3.2030 5.4154 5.6533
P 7.5678 2.2548 5.6075
P -1.4180 7.6089 20.8470
P 1.3902 7.5980 9.5292
P 5.7294 5.4409 17.0685
P -2.8144 5.1980 9.4579
P 1.9997 2.6404 1.9179
P 6.3187 0.0568 16.9675
P -1.3897 2.6976 20.8483
Na 4.5651 2.6049 7.5731
Na -1.5742 2.7742 17.1029
Na 0.1676 5.2490 3.8473
Na -4.3301 7.6316 22.5767
Na -4.2589 7.6996 11.2271
Na -1.0267 2.5647 1.8932
Na 4.3978 2.5185 18.9842
Na 0.0228 5.1880 15.2072
Na 1.7597 7.4084 13.2492
Y -0.0731 5.1571 11.7691
Y -0.0342 5.1531 7.2341
Y 4.5254 7.7116 3.2582
Y 0.0006 5.2468 0.3986
Y 0.0003 5.2584 18.6456
Y -4.3374 7.7188 14.6199
S 1.3975 2.7049 9.4709
S 2.6369 0.1081 5.7234
S 2.8465 5.1899 20.8449
```

Results
**SG**: P1 (1)
**Energy with MP2020 corrections**: -7.913 eV/atom
**Uncorrected energy**: -7.468 eV/atom


[9]
LaCI: relaxed, GGA-PBE.

Geometry as extended XYZ:
```
6
Lattice="2.1014 3.8202 0.0000 -2.1014 3.8202 0.0000 0.0000 0.6770 10.8359" Properties=species:S:1:pos:R:3 pbc="T T T"
La 0.0000 1.6827 9.3294
La 0.0000 6.6347 1.5065
C 0.0000 3.9164 10.5164
C 0.0000 4.4010 0.3195
I 0.0000 6.7451 7.1415
I 0.0000 1.5724 3.6944
```

Results
**SG**: C2/m (12)
**Energy with MP2020 corrections**: -6.264 eV/atom
**Uncorrected energy**: -6.137 eV/atom


[10]
Ca3Ti2Si3O12: relaxed, GGA-PBE.

Geometry as extended XYZ:
```
80
Lattice="7.3072 -4.4202 -6.3288 -2.0087 -6.4971 8.1695 -8.9415 1.6307 -5.5117" Properties=species:S:1:pos:R:3 pbc="T T T"
Ti -1.8215 -4.6433 -1.8355
Ti 3.6536 -2.2101 -3.1644
Ti 2.6493 -5.4587 0.9204
Ti 0.0000 0.0000 0.0000
Ti -1.0043 -3.2485 4.0848
Ti -0.8171 -1.3948 -5.9203
Ti -5.4751 -2.4332 1.3289
Ti -4.4707 0.8154 -2.7559
Si -6.2481 -0.4903 -5.3838
Si 4.7740 -5.2881 -4.1843
Si -3.0795 -5.8298 4.9793
Si -0.8612 -4.7324 -5.1279
Si -2.7817 -4.5542 1.4569
Si -0.5634 -3.4568 -8.6503
Si -0.2925 -7.0239 0.1048
Si -8.4169 -3.9985 0.5133
Si 2.6052 -8.7963 1.7128
Si -5.2213 -4.4952 -1.4011
Si -3.3504 -2.2627 -3.7758
Si 1.5784 -4.7914 -2.2699
O -3.8227 -5.1005 -2.0614
O -5.2167 -0.8616 -6.6316
O -0.3491 -3.1615 -4.9588
O 0.3576 -7.1231 5.3188
O 2.0765 -3.5410 -3.2430
O -1.4439 -4.4024 2.4294
O -4.1307 -3.8105 2.0777
O -4.0005 -2.1635 -8.9898
O -2.2583 -3.8789 0.0326
O -3.2938 -6.1251 1.2878
O -8.5277 -2.9787 -0.7929
O 1.1877 -1.6447 -0.3863
O 3.7840 -3.4976 -7.2528
O 0.5902 -8.0514 -0.8563
O 1.5738 -8.4250 2.9606
O -1.3846 -5.4077 -3.7036
O -2.6507 -9.0544 -1.8748
O -2.1990 -4.8842 -6.1004
O -6.9973 -3.8284 1.3586
O -1.3853 -2.5007 -7.5692
O -1.3915 -1.1720 0.9773
O -4.2331 -1.2353 -2.8147
O -6.6035 -1.7938 -4.4178
O -4.9935 -3.0726 -0.5748
O -4.2620 -3.4793 -4.4446
O 0.4878 -5.4761 -5.7487
O 2.9606 -7.4928 0.7468
O -0.9264 -7.7664 1.4484
O 1.3506 -6.2140 -3.0962
O 4.8824 -8.7323 -1.1876
O -7.4269 -5.7890 3.5818
O 2.7068 -5.2244 -1.1307
O -1.4531 -6.4707 -0.9467
O -4.8306 -7.6419 -3.2847
O -5.7194 -5.7456 -0.4280
O 0.6191 -5.8073 0.7736
O -4.6348 -5.4920 4.5045
O -6.3497 -4.0622 -2.5403
O -2.2576 -6.7859 3.8982
O 0.1798 -4.1861 -1.6096
O 0.9919 -3.7946 -8.1755
O 4.8848 -6.3079 -2.8781
O -2.1898 -2.8160 -2.7243
O 3.3544 -5.4582 -5.0296
O -2.2514 -8.1146 -4.6483
O -0.9922 -0.2322 -1.7962
O -2.7165 -1.5202 -5.1194
O -8.5253 -0.5543 -2.4834
Ca 0.1160 -6.3266 3.0649
Ca 0.2538 -2.0621 -2.7300
Ca -3.5988 -5.9490 -4.4634
Ca -5.5192 -5.7708 2.1213
Ca 2.9030 -7.5207 -1.8097
Ca -0.0441 -3.3376 0.7924
Ca -3.8967 -7.2246 -0.9410
Ca -6.5459 -1.7659 -1.8613
Ca -3.7589 -2.9601 -6.7359
Ca -0.7011 -7.7213 -2.8554
Ca 1.8763 -3.5158 -5.7923
Ca -2.9418 -1.5653 -0.8156
```

Results
**SG**: Ia-3d (230)
**Energy with MP2020 corrections**: -8.262 eV/atom
**Uncorrected energy**: -7.849 eV/atom


[11]
BaTm2ZnO5: relaxed, GGA-PBE.

Geometry as extended XYZ:
```
36
Lattice="-2.0556 -5.2759 0.6752 1.2692 -1.3666 -6.8141 11.2614 -4.0162 2.9030" Properties=species:S:1:pos:R:3 pbc="T T T"
Tm 6.0800 -3.7615 1.1584
Tm 0.8315 -2.1649 -2.3447
Tm 7.5510 -8.0045 -3.4379
Tm 1.5889 -5.6396 -3.1101
Tm 8.8860 -5.0191 -0.1257
Tm 2.9239 -2.6542 0.2021
Tm 9.6435 -8.4938 -0.8911
Tm 4.3949 -6.8972 -4.3942
Ba -0.2950 -4.4730 0.2695
Ba 10.7699 -6.1857 -3.5054
Ba 5.7718 -6.9507 -0.6206
Ba 4.7031 -3.7080 -2.6153
Zn 2.2043 -3.0274 -4.9043
Zn 8.2706 -7.6313 1.6685
Zn 7.6865 -4.8755 -2.6553
Zn 2.7884 -5.7832 -0.5806
O 0.5567 -3.8101 -3.9761
O 3.6790 -6.3482 -2.2842
O 4.0625 -4.5981 0.4972
O 9.9183 -6.8486 0.7402
O 10.9443 -4.2153 0.4032
O 7.4906 -9.2570 -1.4274
O 2.1421 -7.5527 -4.3940
O 2.9844 -1.4018 -1.8085
O 3.1649 -4.9276 -4.7300
O 1.9616 -4.0268 -1.4725
O 5.3865 -8.6939 -3.3961
O 6.4125 -6.0606 -3.7331
O 8.5134 -6.6319 -1.7634
O 6.7959 -4.3105 -0.9516
O 8.3329 -3.1060 1.1581
O 9.7432 -8.8231 -3.1599
O 5.0885 -1.9648 0.1602
O -0.4693 -6.4434 -3.6390
O 0.7317 -1.8356 -0.0759
O 7.3101 -5.7311 1.4941
```

Results
**SG**: Pnma (62)
**Energy with MP2020 corrections**: -7.395 eV/atom
**Uncorrected energy**: -7.013 eV/atom


The following ΔH_f (0 K) values (in eV per formula unit) correspond, in order, to the records above: -3.03 -2.91 -18.64 -0.90 -2.83 -16.55 -24.91 -110.15 -3.10 -67.77 -29.69.